Here is an optimized crystal structure of TiCdO3 from Materials Project. Energies are from PBE-GGA.

Summary:
As for the calculated total energy: -68.3 eV per cell. The formation energy is -2.513 eV/atom.

```
10
Lattice="1.5111 -17.4989 -3.5270 3.7576 -5.7059 -0.0411 0.4186 7.6305 5.3240" Properties=species:S:1:pos:R:3 pbc="T T T"
Ti 4.0301 -16.9488 -2.1635
Ti 1.6572 1.3746 3.9194
Cd 2.8624 -9.0624 -0.2376
Cd 2.8250 -6.5119 1.9935
O 1.8452 -7.1312 0.0700
O 1.1909 -12.6942 -2.4175
O 1.0260 0.2577 2.5097
O 3.8422 -8.4430 1.6859
O 4.4965 -2.8800 4.1734
O 4.6614 -15.8320 -0.7538
```

***

Here is an optimized crystal structure of Ti2CdO5 from Materials Project. Energies are from PBE-GGA.

Summary:
As for the calculated total energy: -123.2 eV per cell. The formation energy is -2.947 eV/atom.

```
16
Lattice="1.8646 -5.1458 0.0000 1.8646 5.1458 0.0000 0.0000 0.0000 10.7447" Properties=species:S:1:pos:R:3 pbc="T T T"
Ti 1.8646 -3.8136 6.0784
Ti 1.8646 -3.8136 10.0387
Ti 1.8646 3.8136 0.7060
Ti 1.8646 3.8136 4.6663
Cd 1.8646 -3.1872 2.6862
Cd 1.8646 3.1872 8.0585
O 1.8646 -4.6949 1.1107
O 1.8646 -4.6949 4.2617
O 1.8646 -1.9054 0.5638
O 1.8646 -1.9054 4.8085
O 1.8646 3.2407 2.6862
O 1.8646 -3.2407 8.0585
O 1.8646 1.9054 5.9362
O 1.8646 4.6949 6.4831
O 1.8646 1.9054 10.1809
O 1.8646 4.6949 9.6340
```

***

- What is the calculated total energy in the first record?
  -68.3 eV per cell